1.
A geometry-optimized ScBiO3 structure, computed with PBE.

Properties
Piezoelectric modulus e_max   19.05 C/m²
E_tot   -147.451 eV for the cell shown
Crystal system   monoclinic
Magnetization   0.00 μB/f.u.

Cell lengths 5.796, 5.796, 10.150 Å; angles 73.79, 73.79, 61.13 degrees
Fractional coordinates of all 20 atoms:
Sc 0.986 0.495 0.499
Sc 0.241 0.743 0.749
Sc 0.495 0.986 0.999
Sc 0.743 0.241 0.249
Bi 0.679 0.041 0.633
Bi 0.041 0.679 0.133
Bi 0.313 0.946 0.367
Bi 0.946 0.313 0.867
O 0.612 0.693 0.630
O 0.856 0.818 0.336
O 0.885 0.256 0.418
O 0.098 0.726 0.579
O 0.172 0.095 0.165
O 0.310 0.359 0.862
O 0.818 0.856 0.836
O 0.359 0.310 0.362
O 0.726 0.098 0.079
O 0.693 0.612 0.130
O 0.095 0.172 0.665
O 0.256 0.885 0.918

2.
A geometry-optimized Ti4Bi2O11 structure, computed with PBE.

Properties
E_tot   -136.616 eV for the cell shown
Crystal system   monoclinic

Cell lengths 7.703, 7.703, 10.311 Å; angles 48.74, 48.74, 28.54 degrees
Fractional coordinates of all 17 atoms:
Ti 0.619 0.619 0.468
Ti 0.381 0.381 0.532
Ti 0.661 0.661 0.782
Ti 0.339 0.339 0.218
Bi 0.111 0.111 0.142
Bi 0.889 0.889 0.858
O 0.707 0.707 0.951
O 0.293 0.293 0.049
O 0.623 0.623 0.647
O 0.377 0.377 0.353
O 0.437 0.437 0.667
O 0.563 0.563 0.333
O 0.799 0.799 0.242
O 0.201 0.201 0.758
O 0.146 0.146 0.430
O 0.854 0.854 0.570
O 0.500 0.500 0.000